A geometry-optimized Er3Th structure. Source: the Materials Project, functional r2SCAN.

Calculated values
Energy relative to the elements (meV per atom): 40.6
Space-group type: P-6m2, No. 187
Raw total energy (eV/atom): -43.772

Cell lengths 3.5761, 3.5761, 11.3398 Å; angles 90.00, 90.00, 120.00 degrees
With the nearest neighbours (Å) after each atom.
Atoms (fractional coordinates):
Er 0.0000 0.0000 0.0000  12 Er 3.48-3.58
Er 0.6667 0.3333 0.2467  9 Er 3.48-3.58, 3 Th 3.54
Er 0.6667 0.3333 0.7533  9 Er 3.48-3.58, 3 Th 3.54
Th 0.0000 0.0000 0.5000  6 Er 3.54, 6 Th 3.58